a) # CaC2

A relaxed structure of CaC2 (PBE, the Materials Project).

a = 3.9130 Å, b = 3.9130 Å, c = 7.4546 Å
α = 104.59°, β = 104.59°, γ = 64.24°
Atoms (fractional coordinates):
1 Ca 0.1772 0.8228 0.7500
2 Ca 0.8228 0.1772 0.2500
3 C 0.1382 0.4214 0.0612
4 C 0.4214 0.1382 0.5612
5 C 0.5786 0.8618 0.4388
6 C 0.8618 0.5786 0.9388


b) # CaC2

A relaxed structure of CaC2 (PBE, the Materials Project).

a = 4.4512 Å, b = 4.4512 Å, c = 7.3908 Å
α = 103.44°, β = 103.44°, γ = 56.67°
Atoms (fractional coordinates):
1 Ca 0.1940 0.1940 0.2792
2 Ca 0.8060 0.8060 0.7208
3 C 0.0728 0.0728 0.5711
4 C 0.4680 0.4680 0.5747
5 C 0.5320 0.5320 0.4253
6 C 0.9272 0.9272 0.4289


c) # CaC2

A relaxed structure of CaC2 (PBE, the Materials Project).

a = 3.9308 Å, b = 3.9698 Å, c = 7.4498 Å
α = 78.79°, β = 85.54°, γ = 60.47°
Atoms (fractional coordinates):
1 Ca 0.2293 0.4643 0.2541
2 Ca 0.7707 0.5357 0.7459
3 C 0.1294 0.9304 0.5624
4 C 0.4456 0.1359 0.9306
5 C 0.5544 0.8641 0.0694
6 C 0.8706 0.0696 0.4376


d) # CaC2

A relaxed structure of CaC2 (PBE, the Materials Project).

a = 3.5379 Å, b = 3.5379 Å, c = 3.5379 Å
α = 86.90°, β = 86.90°, γ = 86.90°
Atoms (fractional coordinates):
1 Ca 0.0000 0.0000 0.0000
2 C 0.4018 0.4018 0.4018
3 C 0.5982 0.5982 0.5982


It turns out a) is the most stable, with the second structure 9 meV/atom higher.